# Na2FeO3

Na2FeO3 after structural relaxation (PBE with a Hubbard U, Materials Project).

The structure in POSCAR format:
```
Na2FeO3
1.0
10.001 0.000 0.000
0.000 4.844 0.000
0.000 0.210 6.609
O Fe Na
12 4 8
direct
0.691 0.760 0.789 O
0.064 0.794 0.922 O
0.809 0.760 0.289 O
0.079 0.745 0.354 O
0.191 0.240 0.711 O
0.309 0.240 0.211 O
0.421 0.745 0.854 O
0.579 0.255 0.146 O
0.921 0.255 0.646 O
0.436 0.794 0.422 O
0.564 0.206 0.578 O
0.936 0.206 0.078 O
0.040 0.183 0.840 Fe
0.540 0.817 0.660 Fe
0.960 0.817 0.160 Fe
0.460 0.183 0.340 Fe
0.728 0.263 0.858 Na
0.228 0.737 0.642 Na
0.272 0.737 0.142 Na
0.772 0.263 0.358 Na
0.603 0.739 0.119 Na
0.397 0.261 0.881 Na
0.897 0.739 0.619 Na
0.103 0.261 0.381 Na
```

Energy above the most stable polymorph in this dataset in meV per atom: 60
Space group: P2_1/c, No. 14
Energy of formation in eV/atom: -1.58

---

# MgCu2W2O8

MgCu2W2O8 after structural relaxation (PBE with a Hubbard U, Materials Project).

The structure in POSCAR format:
```
MgCu2W2O8
1.0
5.389 0.660 0.418
0.919 5.177 0.212
-0.278 0.097 6.358
O Cu W Mg
8 2 2 1
direct
0.241 0.522 0.341 O
0.809 0.475 0.105 O
0.176 0.000 0.100 O
0.792 0.987 0.906 O
0.246 0.119 0.671 O
0.730 0.464 0.681 O
0.178 0.524 0.896 O
0.744 0.909 0.345 O
0.702 0.871 0.644 Cu
0.401 0.127 0.277 Cu
0.996 0.726 0.154 W
0.979 0.252 0.864 W
0.383 0.450 0.630 Mg
```

Energy above the most stable polymorph in this dataset in meV per atom: 39
Space group: P1, No. 1
Energy of formation in eV/atom: -1.86

---

# Li3Mn2P3O12

Li3Mn2P3O12 after structural relaxation (PBE with a Hubbard U, Materials Project).

The structure in POSCAR format:
```
Li3Mn2P3O12
1.0
8.723 0.000 0.000
0.000 8.504 0.000
0.000 7.840 12.191
O Li P Mn
48 12 12 8
direct
0.272 0.018 0.810 O
0.609 0.838 0.606 O
0.301 0.710 0.668 O
0.834 0.545 0.899 O
0.958 0.159 0.074 O
0.469 0.555 0.213 O
0.891 0.838 0.106 O
0.031 0.555 0.713 O
0.634 0.524 0.582 O
0.366 0.476 0.418 O
0.594 0.157 0.977 O
0.369 0.597 0.946 O
0.109 0.162 0.894 O
0.406 0.843 0.023 O
0.166 0.455 0.101 O
0.001 0.866 0.256 O
0.085 0.868 0.690 O
0.866 0.524 0.082 O
0.415 0.868 0.190 O
0.531 0.445 0.787 O
0.334 0.455 0.601 O
0.801 0.290 0.832 O
0.320 0.244 0.063 O
0.542 0.159 0.574 O
0.501 0.134 0.244 O
0.180 0.244 0.563 O
0.631 0.403 0.054 O
0.820 0.756 0.437 O
0.869 0.403 0.554 O
0.699 0.290 0.332 O
0.134 0.476 0.918 O
0.666 0.545 0.399 O
0.042 0.841 0.926 O
0.199 0.710 0.168 O
0.999 0.134 0.744 O
0.915 0.132 0.310 O
0.499 0.866 0.756 O
0.772 0.982 0.690 O
0.585 0.132 0.810 O
0.680 0.756 0.937 O
0.969 0.445 0.287 O
0.094 0.843 0.523 O
0.458 0.841 0.426 O
0.131 0.597 0.446 O
0.228 0.018 0.310 O
0.391 0.162 0.394 O
0.728 0.982 0.190 O
0.906 0.157 0.477 O
0.785 0.998 0.824 Li
0.487 0.718 0.343 Li
0.084 0.605 0.312 Li
0.584 0.395 0.188 Li
0.416 0.605 0.812 Li
0.715 0.998 0.324 Li
0.013 0.718 0.843 Li
0.215 0.002 0.176 Li
0.987 0.282 0.157 Li
0.916 0.395 0.688 Li
0.285 0.002 0.676 Li
0.513 0.282 0.657 Li
0.889 0.962 0.152 P
0.879 0.263 0.352 P
0.250 0.443 0.010 P
0.611 0.962 0.652 P
0.121 0.737 0.648 P
0.621 0.263 0.852 P
0.750 0.557 0.490 P
0.389 0.038 0.348 P
0.250 0.443 0.510 P
0.111 0.038 0.848 P
0.750 0.557 0.990 P
0.379 0.737 0.148 P
0.968 0.348 0.897 Mn
0.536 0.139 0.108 Mn
0.036 0.861 0.392 Mn
0.468 0.652 0.603 Mn
0.464 0.861 0.892 Mn
0.532 0.348 0.397 Mn
0.032 0.652 0.103 Mn
0.964 0.139 0.608 Mn
```

Energy above the most stable polymorph in this dataset in meV per atom: 7
Space group: P2_1/c, No. 14
Energy of formation in eV/atom: -2.56

---

# Li9Mn2Co5O16

Li9Mn2Co5O16 after structural relaxation (PBE with a Hubbard U, Materials Project).

The structure in POSCAR format:
```
Li9Mn2Co5O16
1.0
-0.286 -1.141 2.691
5.100 0.108 0.460
-2.413 18.092 6.279
O Mn Co Li
16 2 5 9
direct
0.009 0.465 0.314 O
0.992 0.290 0.945 O
0.509 0.331 0.441 O
0.041 0.716 0.063 O
0.523 0.076 0.691 O
0.527 0.152 0.058 O
0.979 0.045 0.184 O
0.000 0.973 0.805 O
0.482 0.834 0.944 O
0.461 0.933 0.311 O
0.013 0.199 0.566 O
0.530 0.580 0.185 O
0.492 0.668 0.561 O
0.989 0.796 0.434 O
0.466 0.431 0.807 O
0.990 0.522 0.687 O
0.993 0.756 0.249 Mn
0.005 0.003 0.996 Mn
0.497 0.365 0.627 Co
0.997 0.240 0.756 Co
0.003 0.499 0.501 Co
0.516 0.873 0.123 Co
0.498 0.631 0.376 Co
0.501 0.248 0.250 Li
0.998 0.381 0.126 Li
0.500 0.000 0.501 Li
0.001 0.127 0.374 Li
0.506 0.494 0.996 Li
0.010 0.606 0.874 Li
0.994 0.875 0.627 Li
0.489 0.753 0.750 Li
0.487 0.141 0.877 Li
```

Energy above the most stable polymorph in this dataset in meV per atom: 60
Space group: P1, No. 1
Energy of formation in eV/atom: -1.80

---

# Mg6CrCoO8

Mg6CrCoO8 after structural relaxation (PBE with a Hubbard U, Materials Project).

The structure in POSCAR format:
```
Mg6CrCoO8
1.0
-0.852 7.735 3.618
-3.898 0.372 -1.714
-1.702 -1.814 3.476
Co Mg O Cr
1 6 8 1
direct
0.000 0.000 0.000 Co
0.000 0.500 0.500 Mg
0.755 0.000 0.500 Mg
0.500 0.500 0.500 Mg
0.245 0.000 0.500 Mg
0.245 0.500 0.000 Mg
0.755 0.500 0.000 Mg
0.000 0.000 0.500 O
0.738 0.000 0.000 O
0.500 0.000 0.500 O
0.262 0.000 0.000 O
0.750 0.500 0.500 O
0.250 0.500 0.500 O
0.500 0.500 0.000 O
0.000 0.500 0.000 O
0.500 0.000 0.000 Cr
```

Energy above the most stable polymorph in this dataset in meV per atom: 0
Space group: P4/mmm, No. 123
Energy of formation in eV/atom: -2.65

---

# BaSr7Co5Cu3O24

BaSr7Co5Cu3O24 after structural relaxation (PBE with a Hubbard U, Materials Project).

The structure in POSCAR format:
```
BaSr7Co5Cu3O24
1.0
5.550 5.549 0.000
-5.550 5.549 0.000
0.000 0.007 7.706
O Sr Cu Co Ba
24 7 3 5 1
direct
0.750 0.998 0.001 O
0.260 0.505 0.496 O
0.996 0.504 0.739 O
0.249 0.994 0.496 O
0.993 0.250 0.007 O
0.504 0.504 0.762 O
0.998 0.750 0.001 O
0.502 0.751 0.001 O
0.994 0.249 0.496 O
0.505 0.260 0.496 O
0.501 0.501 0.239 O
0.250 0.505 0.005 O
0.751 0.502 0.001 O
0.501 0.999 0.260 O
0.750 0.998 0.498 O
0.504 0.996 0.739 O
0.998 0.750 0.498 O
0.501 0.741 0.499 O
0.250 0.993 0.007 O
0.741 0.501 0.499 O
0.999 0.501 0.260 O
0.505 0.250 0.005 O
0.996 0.996 0.740 O
0.999 0.999 0.259 O
0.751 0.248 0.751 Sr
0.752 0.752 0.249 Sr
0.248 0.751 0.751 Sr
0.751 0.249 0.249 Sr
0.249 0.751 0.249 Sr
0.248 0.248 0.250 Sr
0.752 0.752 0.751 Sr
0.501 0.000 0.001 Cu
0.000 0.501 0.001 Cu
0.000 0.000 0.000 Cu
0.502 0.502 0.001 Co
0.501 0.999 0.499 Co
0.999 0.999 0.499 Co
0.501 0.501 0.499 Co
0.999 0.501 0.499 Co
0.249 0.249 0.751 Ba
```

Space group: Cm, No. 8
Energy of formation in eV/atom: -1.87